! SmPt3 | the Materials Project | PBE | optimized geometry; values from VASP
! crystal system	cubic
! formation energy	-0.895	eV per atom
! mass density	16.812	g/cm³
&SYSTEM
  ibrav = 0, nat = 4, ntyp = 2
/
ATOMIC_SPECIES
Sm 150.36 Sm.upf
Pt 195.08 Pt.upf
ATOMIC_POSITIONS crystal
Sm 0.000 0.000 0.000
Pt 0.000 0.500 0.500
Pt 0.500 0.000 0.500
Pt 0.500 0.500 0.000
CELL_PARAMETERS angstrom
4.173 0.000 0.000
0.000 4.173 0.000
0.000 0.000 4.173